YMg6CoO8 (PBE with a Hubbard U, relaxed); energy relative to the lowest polymorph listed for this composition = 53 meV per atom; formation energy = -2764 meV/atom; SG = P4/mmm, No. 123
1.0
4.394 0.000 0.000
0.000 4.394 0.000
0.000 0.000 8.915
Y Mg Co O
1 6 1 8
Direct
0.000 0.000 0.000 Y
0.000 0.500 0.274 Mg
0.000 0.500 0.726 Mg
0.500 0.000 0.274 Mg
0.500 0.000 0.726 Mg
0.500 0.500 0.000 Mg
0.500 0.500 0.500 Mg
0.000 0.000 0.500 Co
0.000 0.000 0.249 O
0.000 0.000 0.751 O
0.000 0.500 0.000 O
0.000 0.500 0.500 O
0.500 0.000 0.000 O
0.500 0.000 0.500 O
0.500 0.500 0.249 O
0.500 0.500 0.751 O

CoPtO2 (PBE with a Hubbard U, relaxed); formation energy = -993 meV/atom; SG = P1, No. 1
1.0
2.912 0.000 0.000
-1.449 2.536 0.000
-0.151 -1.405 24.574
Co Pt O
4 4 8
Direct
0.000 0.000 0.000 Co
0.245 0.492 0.750 Co
0.497 0.994 0.500 Co
0.752 0.500 0.250 Co
0.136 0.259 0.375 Pt
0.377 0.751 0.125 Pt
0.623 0.246 0.875 Pt
0.860 0.733 0.625 Pt
0.105 0.205 0.294 O
0.160 0.305 0.456 O
0.352 0.704 0.044 O
0.401 0.798 0.206 O
0.598 0.197 0.794 O
0.648 0.296 0.956 O
0.835 0.684 0.544 O
0.892 0.788 0.706 O

Na5YMo4O16 (PBE with a Hubbard U, relaxed); formation energy = -2332 meV/atom; SG = I4_1/a, No. 88
1.0
-5.788 5.788 5.788
5.788 -5.788 5.788
5.788 5.788 -5.788
Na Y Mo O
10 2 8 32
Direct
0.111 0.278 0.075 Na
0.222 0.796 0.832 Na
0.296 0.964 0.575 Na
0.375 0.125 0.250 Na
0.464 0.389 0.668 Na
0.536 0.611 0.332 Na
0.625 0.875 0.750 Na
0.704 0.036 0.425 Na
0.778 0.204 0.168 Na
0.889 0.722 0.925 Na
0.125 0.375 0.750 Y
0.875 0.625 0.250 Y
0.045 0.070 0.337 Mo
0.208 0.545 0.475 Mo
0.233 0.708 0.163 Mo
0.430 0.267 0.975 Mo
0.570 0.733 0.025 Mo
0.767 0.292 0.837 Mo
0.792 0.455 0.525 Mo
0.955 0.930 0.663 Mo
0.006 0.518 0.654 O
0.013 0.157 0.210 O
0.018 0.864 0.513 O
0.071 0.150 0.799 O
0.148 0.494 0.013 O
0.150 0.728 0.299 O
0.198 0.829 0.073 O
0.228 0.429 0.579 O
0.257 0.125 0.427 O
0.304 0.513 0.356 O
0.329 0.757 0.632 O
0.343 0.053 0.856 O
0.350 0.650 0.921 O
0.364 0.352 0.846 O
0.375 0.302 0.132 O
0.447 0.804 0.290 O
0.553 0.196 0.710 O
0.625 0.698 0.868 O
0.636 0.648 0.154 O
0.650 0.350 0.079 O
0.657 0.947 0.144 O
0.671 0.243 0.368 O
0.696 0.487 0.644 O
0.743 0.875 0.573 O
0.772 0.571 0.421 O
0.802 0.171 0.927 O
0.850 0.272 0.701 O
0.852 0.506 0.987 O
0.929 0.850 0.201 O
0.982 0.136 0.487 O
0.987 0.843 0.790 O
0.994 0.482 0.346 O

V9P16O56 (PBE with a Hubbard U, relaxed); formation energy = -2576 meV/atom; SG = P-1, No. 2
1.0
9.823 0.000 0.000
-3.612 10.209 0.000
-4.645 -4.056 11.269
V P O
9 16 56
Direct
0.000 0.000 0.000 V
0.241 0.247 0.687 V
0.255 0.264 0.201 V
0.368 0.775 0.568 V
0.383 0.779 0.073 V
0.617 0.221 0.927 V
0.632 0.225 0.432 V
0.745 0.736 0.799 V
0.759 0.753 0.313 V
0.097 0.777 0.329 P
0.106 0.793 0.841 P
0.267 0.960 0.229 P
0.271 0.964 0.730 P
0.335 0.284 0.976 P
0.351 0.539 0.633 P
0.356 0.539 0.129 P
0.358 0.300 0.485 P
0.642 0.700 0.515 P
0.644 0.461 0.871 P
0.649 0.461 0.367 P
0.665 0.716 0.024 P
0.729 0.036 0.270 P
0.733 0.040 0.771 P
0.894 0.207 0.159 P
0.903 0.223 0.671 P
0.004 0.840 0.900 O
0.012 0.655 0.750 O
0.015 0.197 0.620 O
0.043 0.645 0.237 O
0.153 0.914 0.289 O
0.158 0.922 0.793 O
0.194 0.042 0.154 O
0.218 0.054 0.662 O
0.226 0.201 0.027 O
0.235 0.587 0.551 O
0.238 0.261 0.846 O
0.248 0.590 0.042 O
0.254 0.267 0.353 O
0.259 0.832 0.655 O
0.259 0.833 0.152 O
0.260 0.215 0.538 O
0.264 0.816 0.443 O
0.270 0.820 0.942 O
0.280 0.451 0.190 O
0.286 0.446 0.695 O
0.405 0.446 0.052 O
0.413 0.461 0.555 O
0.436 0.059 0.326 O
0.446 0.049 0.833 O
0.484 0.712 0.491 O
0.489 0.263 0.005 O
0.493 0.321 0.790 O
0.500 0.320 0.284 O
0.500 0.680 0.716 O
0.507 0.679 0.210 O
0.511 0.737 0.995 O
0.516 0.288 0.509 O
0.554 0.951 0.167 O
0.564 0.941 0.674 O
0.587 0.539 0.445 O
0.595 0.554 0.948 O
0.714 0.554 0.305 O
0.720 0.549 0.810 O
0.730 0.180 0.058 O
0.736 0.184 0.557 O
0.740 0.785 0.462 O
0.741 0.167 0.848 O
0.741 0.168 0.345 O
0.746 0.733 0.647 O
0.752 0.410 0.958 O
0.762 0.739 0.154 O
0.765 0.413 0.449 O
0.774 0.799 0.973 O
0.782 0.946 0.338 O
0.806 0.958 0.846 O
0.842 0.078 0.207 O
0.847 0.086 0.711 O
0.957 0.355 0.763 O
0.985 0.803 0.380 O
0.988 0.345 0.250 O
0.996 0.160 0.100 O

ThCdMo3O12 (PBE with a Hubbard U, relaxed); formation energy = -2366 meV/atom; SG = P6_3/m, No. 176
1.0
10.058 0.000 0.000
-5.029 8.711 0.000
0.000 0.000 6.430
Th Cd Mo O
2 2 6 24
Direct
0.333 0.667 0.250 Th
0.667 0.333 0.750 Th
0.000 0.000 0.000 Cd
0.000 0.000 0.500 Cd
0.097 0.388 0.750 Mo
0.291 0.903 0.750 Mo
0.388 0.291 0.250 Mo
0.612 0.709 0.750 Mo
0.709 0.097 0.250 Mo
0.903 0.612 0.250 Mo
0.025 0.181 0.750 O
0.056 0.570 0.250 O
0.155 0.975 0.750 O
0.181 0.155 0.250 O
0.212 0.472 0.524 O
0.212 0.472 0.976 O
0.259 0.788 0.524 O
0.259 0.788 0.976 O
0.430 0.485 0.250 O
0.472 0.259 0.024 O
0.472 0.259 0.476 O
0.485 0.056 0.750 O
0.515 0.944 0.250 O
0.528 0.741 0.524 O
0.528 0.741 0.976 O
0.570 0.515 0.750 O
0.741 0.212 0.024 O
0.741 0.212 0.476 O
0.788 0.528 0.024 O
0.788 0.528 0.476 O
0.819 0.845 0.750 O
0.845 0.025 0.250 O
0.944 0.430 0.750 O
0.975 0.819 0.250 O

no.,electronic total energy (eV per atom)
1,-6.2411
2,-6.0086
3,-6.6332
4,-7.4119
5,-7.2133